--- a ---
Computed, not measured: crystalline Mg14SnSb at its relaxed geometry at the PBE level of DFT.

Cell: 10.344 6.353 6.353 Å, 63.24 90.00 90.00°
Atoms (fractional coordinates):
1 Mg 0.000 0.000 0.000
2 Mg 0.000 0.001 0.501
3 Mg 0.000 0.500 0.500
4 Mg 0.000 0.501 0.001
5 Mg 0.248 0.169 0.169
6 Mg 0.249 0.169 0.669
7 Mg 0.249 0.669 0.169
8 Mg 0.249 0.669 0.669
9 Mg 0.500 0.000 0.501
10 Mg 0.500 0.501 0.000
11 Mg 0.751 0.169 0.669
12 Mg 0.751 0.669 0.169
13 Mg 0.751 0.669 0.669
14 Mg 0.752 0.169 0.169
15 Sn 0.500 0.503 0.503
16 Sb 0.500 0.004 0.004

Properties
V, Å³ per cell: 372.8
Total moment, μB/atom: 0.00

--- b ---
Computed, not measured: crystalline Mg14SnSb at its relaxed geometry at the PBE level of DFT.

Cell: 6.391 6.391 10.381 Å, 90.00 90.00 120.00°
Atoms (fractional coordinates):
1 Mg 0.000 0.000 0.249
2 Mg 0.000 0.000 0.751
3 Mg 0.332 0.166 0.000
4 Mg 0.333 0.166 0.500
5 Mg 0.502 0.004 0.250
6 Mg 0.502 0.004 0.750
7 Mg 0.502 0.498 0.250
8 Mg 0.502 0.498 0.750
9 Mg 0.834 0.166 0.000
10 Mg 0.834 0.166 0.500
11 Mg 0.834 0.667 0.500
12 Mg 0.834 0.668 0.000
13 Mg 0.996 0.498 0.250
14 Mg 0.996 0.498 0.750
15 Sn 0.333 0.667 0.500
16 Sb 0.333 0.667 0.000

Properties
V, Å³ per cell: 367.2
Total moment, μB/atom: 0.00

Ordering by calculated energy gives the sequence b, a, with the first entry being the most stable.

--- a ---
Computed, not measured: crystalline Mg6SnSb at its relaxed geometry at the PBE level of DFT.

Cell: 5.318 6.132 11.616 Å, 90.00 90.00 90.00°
Atoms (fractional coordinates):
1 Mg 0.000 0.000 0.329
2 Mg 0.000 0.750 0.590
3 Mg 0.000 0.250 0.590
4 Mg 0.000 0.750 0.090
5 Sb 0.500 0.500 0.138
6 Mg 0.500 0.500 0.674
7 Sn 0.000 0.000 0.856
8 Mg 0.000 0.500 0.829
9 Mg 0.500 0.000 0.174
10 Mg 0.500 0.249 0.911
11 Mg 0.500 0.751 0.911
12 Mg 0.500 0.749 0.411
13 Sn 0.000 0.500 0.356
14 Mg 0.500 0.251 0.411
15 Mg 0.000 0.250 0.090
16 Sb 0.500 0.000 0.638

Properties
V, Å³ per cell: 378.8
Total moment, μB/atom: 0.00

--- b ---
Computed, not measured: crystalline Mg6SnSb at its relaxed geometry at the PBE level of DFT.

Cell: 5.262 6.522 11.000 Å, 90.00 90.00 90.00°
Atoms (fractional coordinates):
1 Mg 0.500 0.250 0.917
2 Mg 0.500 0.750 0.917
3 Mg 0.500 0.750 0.417
4 Sn 0.000 0.000 0.833
5 Mg 0.500 0.500 0.666
6 Sn 0.000 0.500 0.333
7 Mg 0.500 0.000 0.666
8 Mg 0.000 0.250 0.584
9 Sb 0.000 0.500 0.833
10 Mg 0.000 0.750 0.584
11 Mg 0.000 0.250 0.084
12 Mg 0.500 0.000 0.166
13 Mg 0.000 0.750 0.084
14 Sb 0.000 0.000 0.333
15 Mg 0.500 0.500 0.166
16 Mg 0.500 0.250 0.417

Properties
V, Å³ per cell: 377.5
Total moment, μB/atom: 0.00

Ordering by calculated energy gives the sequence a, b, with the first entry being the most stable.

--- a ---
Computed, not measured: crystalline Mg6TiSb at its relaxed geometry at the PBE level of DFT.

Cell: 5.264 6.003 11.045 Å, 90.00 90.00 90.00°
Atoms (fractional coordinates):
1 Ti 0.000 0.000 0.168
2 Mg 0.500 0.742 0.583
3 Mg 0.000 0.252 0.917
4 Mg 0.500 0.500 0.830
5 Mg 0.000 0.748 0.917
6 Mg 0.500 0.000 0.836
7 Sb 0.000 0.000 0.667
8 Mg 0.500 0.000 0.330
9 Mg 0.500 0.242 0.083
10 Mg 0.000 0.752 0.417
11 Mg 0.500 0.258 0.583
12 Mg 0.500 0.500 0.336
13 Ti 0.000 0.500 0.668
14 Mg 0.500 0.758 0.083
15 Sb 0.000 0.500 0.167
16 Mg 0.000 0.248 0.417

Properties
V, Å³ per cell: 349.0
Total moment, μB/atom: 0.00

--- b ---
Computed, not measured: crystalline Mg6TiSb at its relaxed geometry at the PBE level of DFT.

Cell: 5.051 6.401 10.738 Å, 90.00 90.00 90.00°
Atoms (fractional coordinates):
1 Mg 0.500 0.757 0.919
2 Mg 0.000 0.752 0.084
3 Mg 0.000 0.000 0.833
4 Ti 0.500 0.500 0.669
5 Mg 0.500 0.500 0.165
6 Mg 0.500 0.243 0.919
7 Mg 0.500 0.743 0.419
8 Mg 0.500 0.257 0.419
9 Mg 0.000 0.252 0.584
10 Sb 0.000 0.500 0.826
11 Mg 0.000 0.500 0.333
12 Ti 0.500 0.000 0.169
13 Mg 0.500 0.000 0.665
14 Mg 0.000 0.248 0.084
15 Mg 0.000 0.748 0.584
16 Sb 0.000 0.000 0.326

Properties
V, Å³ per cell: 347.2
Total moment, μB/atom: 0.22

Ordering by calculated energy gives the sequence b, a, with the first entry being the most stable.